KV2SeO7: relaxed, GGA+U.

Summary:
**Crystal system**: orthorhombic
**V**: 184 Å³/f.u.
**Energy**: -290.37 eV/cell
**Formation energy from the elements**: -2.126 eV per atom

abc: 5.5274 7.1581 18.5784
angles: 90.00 90.00 90.00
With the nearest neighbours (Å) after each atom.
Fractional positions:
K: 0.2500 0.2395 0.9642  5 O 2.80-2.99
K: 0.2500 0.2605 0.4642  5 O 2.80-2.99
K: 0.7500 0.7605 0.0358  5 O 2.80-2.99
K: 0.7500 0.7395 0.5358  5 O 2.80-2.99
V: 0.2500 0.7217 0.8802  1 O 1.66
V: 0.2500 0.7783 0.3802  1 O 1.66
V: 0.7500 0.2783 0.1198  1 O 1.66
V: 0.7500 0.2217 0.6198  1 O 1.66
V: 0.2500 0.9329 0.6869  4 O 1.69-1.86
V: 0.2500 0.5671 0.1869  4 O 1.69-1.86
V: 0.7500 0.0671 0.3131  4 O 1.69-1.86
V: 0.7500 0.4329 0.8131  4 O 1.69-1.86
Se: 0.2500 0.4722 0.6500  3 O 1.71-1.78
Se: 0.2500 0.0278 0.1500  3 O 1.71-1.78
Se: 0.7500 0.5278 0.3500  3 O 1.71-1.78
Se: 0.7500 0.9722 0.8500  3 O 1.71-1.78
O: 0.2500 0.8715 0.7747  1 V 1.69
O: 0.2500 0.6285 0.2747  1 V 1.69
O: 0.7500 0.1285 0.2253  1 V 1.69
O: 0.7500 0.3715 0.7253  1 V 1.69
O: 0.9968 0.0595 0.6653  1 V 1.71
O: 0.5032 0.4405 0.1653  1 V 1.71
O: 0.4968 0.9405 0.3347  1 V 1.71
O: 0.0032 0.5595 0.8347  1 V 1.71
O: 0.0032 0.9405 0.3347  1 V 1.71
O: 0.4968 0.5595 0.8347  1 V 1.71
O: 0.5032 0.0595 0.6653  1 V 1.71
O: 0.9968 0.4405 0.1653  1 V 1.71
O: 0.2500 0.7167 0.6312  1 Se 1.78, 1 V 1.86
O: 0.2500 0.7833 0.1312  1 Se 1.78, 1 V 1.86
O: 0.7500 0.2833 0.3688  1 Se 1.78, 1 V 1.86
O: 0.7500 0.2167 0.8688  1 Se 1.78, 1 V 1.86
O: 0.0110 0.4200 0.5949  1 Se 1.71
O: 0.4890 0.0800 0.0949  1 Se 1.71
O: 0.5110 0.5800 0.4051  1 Se 1.71
O: 0.9890 0.9200 0.9051  1 Se 1.71
O: 0.9890 0.5800 0.4051  1 Se 1.71
O: 0.5110 0.9200 0.9051  1 Se 1.71
O: 0.4890 0.4200 0.5949  1 Se 1.71
O: 0.0110 0.0800 0.0949  1 Se 1.71
O: 0.2500 0.6301 0.9621  1 V 1.66
O: 0.2500 0.8699 0.4621  1 V 1.66
O: 0.7500 0.3699 0.0379  1 V 1.66
O: 0.7500 0.1301 0.5379  1 V 1.66